# Li3Fe2Co2O8

Li3Fe2Co2O8 after structural relaxation (GGA+U, the Materials Project).

Cell: 5.7277 5.7530 5.7696 Å, 60.44 89.57 60.18°
With the nearest neighbours (Å) after each atom.
Space group P-1 (No. 2)
Unique sites:
Li  0.0000  0.0000  0.0000 (multiplicity 1)  6 O 2.11-2.19
Li  0.0000  0.0000  0.5000 (multiplicity 1)  6 O 2.06-2.09
Li  0.5000  0.5000  0.0000 (multiplicity 1)  6 O 2.12-2.16
Fe  0.0000  0.5000  0.5000 (multiplicity 1)  6 O 1.93-1.97
Fe  0.5000  0.0000  0.0000 (multiplicity 1)  6 O 2.00-2.04
Co  0.5000  0.0000  0.5000 (multiplicity 1)  6 O 1.94-1.95
Co  0.5000  0.5000  0.5000 (multiplicity 1)  6 O 1.92
O  0.2512  0.0229  0.7309 (multiplicity 2)  1 Co 1.94, 2 Fe 1.97-2.03, 3 Li 2.06-2.16
O  0.2526  0.4932  0.7254 (multiplicity 2)  1 Co 1.92, 2 Fe 1.93-2.04, 1 Li 2.09
O  0.2695  0.4704  0.2897 (multiplicity 2)  2 Co 1.92-1.94, 1 Fe 1.95, 1 Li 2.12
O  0.2836  0.9651  0.2742 (multiplicity 2)  2 Co 1.92-1.95, 1 Fe 2.00, 2 Li 2.07-2.14

## Properties
Formation enthalpy at 0 K   -1683 meV per atom
DFT total energy   -5.90 eV per atom
Energy above the lowest structure with this stoichiometry   26 meV per atom